Record 1
Ba3MoO6 | GGA+U | optimized geometry

Cell lengths 6.3483, 6.3483, 6.3483 Å; angles 60.00, 60.00, 60.00 degrees
Closest atoms and distances in Å follow each position.
Atoms (fractional coordinates):
Ba1 0.0000 0.0000 0.0000  6 O 2.54
Ba2 0.2500 0.2500 0.2500  12 O 3.19
Ba3 0.7500 0.7500 0.7500  12 O 3.19
Mo1 0.5000 0.5000 0.5000  6 O 1.95
O1 0.2827 0.2827 0.7173  1 Mo 1.95
O2 0.2827 0.7173 0.2827  1 Mo 1.95
O3 0.2827 0.7173 0.7173  1 Mo 1.95
O4 0.7173 0.2827 0.2827  1 Mo 1.95
O5 0.7173 0.2827 0.7173  1 Mo 1.95
O6 0.7173 0.7173 0.2827  1 Mo 1.95

Calculated values
E (MP2020)   -73.0 eV for the cell shown
E   -6.5701 eV per atom
M_tot   0.000 μB per atom


Record 2
BaMo3O10 | GGA+U | optimized geometry

Cell lengths 7.3219, 7.6980, 15.4077 Å; angles 90.00, 106.72, 90.00 degrees
Closest atoms and distances in Å follow each position.
Atoms (fractional coordinates):
Ba1 0.1692 0.1312 0.3182  7 O 2.68-2.99
Ba2 0.1692 0.3688 0.8182  7 O 2.68-2.99
Ba3 0.8308 0.6312 0.1818  7 O 2.68-2.99
Ba4 0.8308 0.8688 0.6818  7 O 2.68-2.99
Mo1 0.2910 0.1339 0.6036  2 O 1.74-1.77
Mo2 0.2910 0.3661 0.1036  2 O 1.74-1.77
Mo3 0.3342 0.6433 0.6346  3 O 1.76-1.88
Mo4 0.3342 0.8567 0.1346  3 O 1.76-1.88
Mo5 0.3517 0.6279 0.4152  4 O 1.74-1.95
Mo6 0.3517 0.8721 0.9152  4 O 1.74-1.95
Mo7 0.6483 0.1279 0.0848  4 O 1.74-1.95
Mo8 0.6483 0.3721 0.5848  4 O 1.74-1.95
Mo9 0.6658 0.1433 0.8654  3 O 1.76-1.88
Mo10 0.6658 0.3567 0.3654  3 O 1.76-1.88
Mo11 0.7090 0.6339 0.8964  2 O 1.74-1.77
Mo12 0.7090 0.8661 0.3964  2 O 1.74-1.77
O1 0.1164 0.1528 0.6620  1 Mo 1.77
O2 0.1164 0.3472 0.1620  1 Mo 1.77
O3 0.1217 0.6095 0.6640  1 Mo 1.76
O4 0.1217 0.8905 0.1640  1 Mo 1.76
O5 0.1572 0.1296 0.4903  1 Mo 1.74
O6 0.1572 0.3704 0.9903  1 Mo 1.74
O7 0.1851 0.6140 0.3088  1 Mo 1.74
O8 0.1851 0.8860 0.8088  1 Mo 1.74
O9 0.2048 0.6396 0.4924  1 Mo 1.82
O10 0.2048 0.8604 0.9924  1 Mo 1.82
O11 0.3430 0.6148 0.1212  2 Mo 1.88-1.96
O12 0.3430 0.8852 0.6212  2 Mo 1.88-1.96
O13 0.3736 0.1196 0.1146  3 Mo 1.98-2.19
O14 0.3736 0.3804 0.6146  3 Mo 1.98-2.19
O15 0.4298 0.1148 0.9291  1 Mo 1.95
O16 0.4298 0.3852 0.4291  1 Mo 1.95
O17 0.4302 0.6384 0.9114  2 Mo 1.89-2.12
O18 0.4302 0.8616 0.4114  2 Mo 1.89-2.12
O19 0.4928 0.1357 0.7575  1 Mo 1.78
O20 0.4928 0.3643 0.2575  1 Mo 1.78
O21 0.5072 0.6357 0.7425  1 Mo 1.78
O22 0.5072 0.8643 0.2425  1 Mo 1.78
O23 0.5698 0.1384 0.5886  2 Mo 1.89-2.12
O24 0.5698 0.3616 0.0886  2 Mo 1.89-2.12
O25 0.5702 0.6148 0.5709  1 Mo 1.95
O26 0.5702 0.8852 0.0709  1 Mo 1.95
O27 0.6264 0.6196 0.3854  3 Mo 1.98-2.19
O28 0.6264 0.8804 0.8854  3 Mo 1.98-2.19
O29 0.6570 0.1148 0.3787  2 Mo 1.88-1.96
O30 0.6570 0.3852 0.8788  2 Mo 1.88-1.96
O31 0.7952 0.1396 0.0076  1 Mo 1.82
O32 0.7952 0.3604 0.5076  1 Mo 1.82
O33 0.8149 0.1140 0.1912  1 Mo 1.74
O34 0.8149 0.3860 0.6912  1 Mo 1.74
O35 0.8428 0.6296 0.0097  1 Mo 1.74
O36 0.8428 0.8704 0.5097  1 Mo 1.74
O37 0.8783 0.1095 0.8360  1 Mo 1.76
O38 0.8783 0.3905 0.3360  1 Mo 1.76
O39 0.8836 0.6528 0.8380  1 Mo 1.77
O40 0.8836 0.8472 0.3380  1 Mo 1.77

Calculated values
Relative energy among the computed polymorphs   0.0 kJ per mole of atoms
E (MP2020)   -460.3 eV for the cell shown
E   -7.0436 eV per atom
M_tot   0.000 μB per atom


Record 3
BaMo2P4O16 | GGA+U | optimized geometry

Cell lengths 8.1390, 8.0421, 12.5170 Å; angles 90.00, 128.82, 90.00 degrees
Closest atoms and distances in Å follow each position.
Atoms (fractional coordinates):
Ba1 0.0000 0.0000 0.0000  6 O 2.70-2.82
Ba2 0.0000 0.5000 0.5000  6 O 2.70-2.82
Mo1 0.3817 0.2241 0.8371  1 O 1.72
Mo2 0.3817 0.2759 0.3371  1 O 1.72
Mo3 0.6183 0.7241 0.6629  1 O 1.72
Mo4 0.6183 0.7759 0.1629  1 O 1.72
P1 0.0346 0.6031 0.2094  4 O 1.49-1.66
P2 0.0346 0.8969 0.7094  4 O 1.49-1.66
P3 0.3453 0.0923 0.5662  4 O 1.53-1.60
P4 0.3453 0.4077 0.0662  4 O 1.53-1.60
P5 0.6547 0.5923 0.9338  4 O 1.53-1.60
P6 0.6547 0.9077 0.4338  4 O 1.53-1.60
P7 0.9654 0.1031 0.2906  4 O 1.49-1.66
P8 0.9654 0.3969 0.7906  4 O 1.49-1.66
O1 0.0889 0.1431 0.2366  1 P 1.56
O2 0.0889 0.3569 0.7366  1 P 1.56
O3 0.1094 0.7494 0.1773  1 P 1.49
O4 0.1094 0.7506 0.6773  1 P 1.49
O5 0.1393 0.0011 0.4362  2 P 1.60-1.66
O6 0.1393 0.4989 0.9362  2 P 1.60-1.66
O7 0.2027 0.0267 0.8081  1 P 1.54
O8 0.2027 0.4733 0.3081  1 P 1.54
O9 0.2807 0.1954 0.6390  1 P 1.55
O10 0.2807 0.3046 0.1390  1 P 1.55
O11 0.3813 0.6233 0.5807  1 Mo 1.72
O12 0.3813 0.8767 0.0807  1 Mo 1.72
O13 0.4234 0.2127 0.5117  1 P 1.53
O14 0.4234 0.2873 0.0117  1 P 1.53
O15 0.4974 0.0431 0.3391  1 P 1.53
O16 0.4974 0.4569 0.8391  1 P 1.53
O17 0.5026 0.5431 0.1609  1 P 1.53
O18 0.5026 0.9569 0.6609  1 P 1.53
O19 0.5766 0.7127 0.9883  1 P 1.53
O20 0.5766 0.7873 0.4883  1 P 1.53
O21 0.6187 0.1233 0.9193  1 Mo 1.72
O22 0.6187 0.3767 0.4193  1 Mo 1.72
O23 0.7193 0.6954 0.8610  1 P 1.55
O24 0.7193 0.8046 0.3610  1 P 1.55
O25 0.7973 0.5267 0.6919  1 P 1.54
O26 0.7973 0.9733 0.1919  1 P 1.54
O27 0.8607 0.5011 0.0638  2 P 1.60-1.66
O28 0.8607 0.9989 0.5638  2 P 1.60-1.66
O29 0.8906 0.2494 0.3227  1 P 1.49
O30 0.8906 0.2506 0.8227  1 P 1.49
O31 0.9111 0.6431 0.2634  1 P 1.56
O32 0.9111 0.8569 0.7634  1 P 1.56

Calculated values
Relative energy among the computed polymorphs   0.0 kJ per mole of atoms
E (MP2020)   -369.0 eV for the cell shown
E   -7.2651 eV per atom


Number 1: formation energy -2.673 eV per atom. Number 2: formation energy -2.225 eV per atom. Number 3: formation energy -2.611 eV per atom.